1.
VASP calculation (PBE) on a relaxed YCdAu crystal.

Lattice parameters (Å, degrees): 7.866 7.866 3.887 90.00 90.00 120.00
Sites, in units of the cell vectors:
1 Y 0.000 0.592 0.000
2 Y 0.408 0.408 0.000
3 Y 0.592 0.000 0.000
4 Cd 0.000 0.263 0.500
5 Cd 0.263 0.000 0.500
6 Cd 0.737 0.737 0.500
7 Au 0.000 0.000 0.000
8 Au 0.333 0.667 0.500
9 Au 0.667 0.333 0.500

Properties
Symmetry: P-62m
Calculated total energy: -38.00 eV/cell

=====

2.
VASP calculation (PBE) on a relaxed Li2SO4 crystal.

Lattice parameters (Å, degrees): 5.452 5.452 5.452 60.00 60.00 60.00
Sites, in units of the cell vectors:
1 Li 0.000 0.000 0.000
2 Li 0.500 0.500 0.500
3 S 0.250 0.250 0.250
4 O 0.361 0.361 0.361
5 O 0.361 0.361 0.918
6 O 0.361 0.918 0.361
7 O 0.918 0.361 0.361

Properties
Symmetry: F-43m
Spin magnetization: 0.00 μB/f.u.
Calculated total energy: -39.30 eV/cell

=====

3.
VASP calculation (PBE) on a relaxed K3In8Au8 crystal.

Lattice parameters (Å, degrees): 5.891 13.096 13.035 90.00 90.21 90.00
Sites, in units of the cell vectors:
1 K 0.000 0.249 0.000
2 K 0.000 0.751 0.000
3 K 0.001 0.249 0.498
4 K 0.001 0.751 0.498
5 K 0.500 0.251 0.997
6 K 0.500 0.749 0.997
7 In 0.113 0.000 0.624
8 In 0.113 0.000 0.874
9 In 0.229 0.125 0.250
10 In 0.229 0.875 0.250
11 In 0.279 0.374 0.747
12 In 0.279 0.626 0.747
13 In 0.388 0.500 0.125
14 In 0.393 0.500 0.376
15 In 0.611 0.126 0.746
16 In 0.611 0.874 0.746
17 In 0.721 0.500 0.622
18 In 0.727 0.500 0.873
19 In 0.770 0.000 0.374
20 In 0.776 0.000 0.124
21 In 0.885 0.375 0.249
22 In 0.885 0.625 0.249
23 Au 0.122 0.174 0.751
24 Au 0.122 0.826 0.751
25 Au 0.227 0.500 0.576
26 Au 0.230 0.500 0.922
27 Au 0.271 0.000 0.075
28 Au 0.272 0.000 0.423
29 Au 0.377 0.326 0.248
30 Au 0.377 0.674 0.248
31 Au 0.620 0.000 0.574
32 Au 0.623 0.000 0.923
33 Au 0.730 0.173 0.247
34 Au 0.730 0.827 0.247
35 Au 0.772 0.327 0.751
36 Au 0.772 0.673 0.751
37 Au 0.878 0.500 0.074
38 Au 0.881 0.500 0.423

Properties
Symmetry: Pm
Spin magnetization: 0.14 μB/f.u.
Calculated total energy: -112.61 eV/cell

=====

4.
VASP calculation (PBE) on a relaxed TbU3 crystal.

Lattice parameters (Å, degrees): 5.675 5.675 5.675 134.22 134.22 66.74
Sites, in units of the cell vectors:
1 Tb 0.000 0.000 0.000
2 U 0.250 0.750 0.500
3 U 0.500 0.500 0.000
4 U 0.750 0.250 0.500

Properties
Symmetry: I4/mmm
Spin magnetization: 2.76 μB/f.u.
Calculated total energy: -36.32 eV/cell

=====

5.
VASP calculation (PBE) on a relaxed KInBr4 crystal.

Lattice parameters (Å, degrees): 8.057 10.880 10.828 90.00 90.00 90.00
Sites, in units of the cell vectors:
1 K 0.178 0.250 0.250
2 K 0.322 0.750 0.250
3 K 0.678 0.250 0.750
4 K 0.822 0.750 0.750
5 In 0.250 0.000 0.680
6 In 0.250 0.500 0.820
7 In 0.750 0.000 0.320
8 In 0.750 0.500 0.180
9 Br 0.003 0.542 0.316
10 Br 0.003 0.958 0.184
11 Br 0.156 0.684 0.949
12 Br 0.156 0.816 0.551
13 Br 0.344 0.184 0.551
14 Br 0.344 0.316 0.949
15 Br 0.497 0.042 0.184
16 Br 0.497 0.458 0.316
17 Br 0.503 0.542 0.684
18 Br 0.503 0.958 0.816
19 Br 0.656 0.684 0.051
20 Br 0.656 0.816 0.449
21 Br 0.844 0.184 0.449
22 Br 0.844 0.316 0.051
23 Br 0.997 0.042 0.816
24 Br 0.997 0.458 0.684

Properties
Symmetry: Pnna
Calculated total energy: -70.03 eV/cell

=====

6.
VASP calculation (PBE) on a relaxed Ba3SrI8 crystal.

Lattice parameters (Å, degrees): 10.168 10.168 10.168 131.78 131.78 70.57
Sites, in units of the cell vectors:
1 Ba 0.000 0.000 0.000
2 Ba 0.250 0.750 0.500
3 Ba 0.750 0.250 0.500
4 Sr 0.500 0.500 0.000
5 I 0.132 0.132 0.509
6 I 0.132 0.623 0.000
7 I 0.377 0.377 0.509
8 I 0.377 0.868 0.000
9 I 0.623 0.132 0.000
10 I 0.623 0.623 0.491
11 I 0.868 0.377 0.000
12 I 0.868 0.868 0.491

Properties
Symmetry: I4/mmm
Calculated total energy: -40.86 eV/cell

=====

7.
VASP calculation (PBE) on a relaxed CeAl3Cu crystal.

Lattice parameters (Å, degrees): 6.130 6.130 6.130 139.71 139.71 58.29
Sites, in units of the cell vectors:
1 Ce 0.000 0.000 0.000
2 Al 0.382 0.382 0.000
3 Al 0.618 0.618 0.000
4 Al 0.750 0.250 0.500
5 Cu 0.250 0.750 0.500

Properties
Symmetry: I-4m2
Spin magnetization: 0.46 μB/f.u.
Calculated total energy: -22.96 eV/cell

=====

8.
VASP calculation (PBE) on a relaxed SrHo2O4 crystal.

Lattice parameters (Å, degrees): 10.115 3.414 11.953 90.00 90.00 90.00
Sites, in units of the cell vectors:
1 Sr 0.247 0.250 0.149
2 Sr 0.253 0.750 0.649
3 Sr 0.747 0.250 0.351
4 Sr 0.753 0.750 0.851
5 Ho 0.077 0.250 0.388
6 Ho 0.077 0.250 0.889
7 Ho 0.423 0.750 0.389
8 Ho 0.423 0.750 0.888
9 Ho 0.577 0.250 0.112
10 Ho 0.577 0.250 0.611
11 Ho 0.923 0.750 0.111
12 Ho 0.923 0.750 0.612
13 O 0.014 0.750 0.784
14 O 0.074 0.250 0.577
15 O 0.125 0.750 0.020
16 O 0.212 0.750 0.326
17 O 0.288 0.250 0.826
18 O 0.375 0.250 0.520
19 O 0.426 0.750 0.077
20 O 0.486 0.250 0.284
21 O 0.514 0.750 0.716
22 O 0.574 0.250 0.923
23 O 0.625 0.750 0.480
24 O 0.712 0.750 0.174
25 O 0.788 0.250 0.674
26 O 0.875 0.250 0.980
27 O 0.926 0.750 0.423
28 O 0.986 0.250 0.216

Properties
Symmetry: Pnma
Calculated total energy: -216.85 eV/cell